A relaxed SrAlGeH crystal, computed with PBE-GGA.

abc: 4.2658 4.2658 4.9673
angles: 90.00 90.00 120.00
Sites, in units of the cell vectors:
Sr 0.3333 0.6667 0.0046
Al 0.0000 0.0000 0.4580
Ge 0.6667 0.3333 0.5613
H 0.0000 0.0000 0.1053

Results
maximum piezoelectric response: 0.8 C/m²
calculated volume: 78 Å³ per cell
SG: P3m1
formation enthalpy at 0 K: -12.604 kcal/mol of atoms
MP2020-corrected energy: -15.6 eV per cell
M_tot: 0.00 Bohr magnetons per cell

***

A relaxed Hf3AlGe5 crystal, computed with PBE-GGA.

abc: 22.3889 22.3889 3.7854
angles: 90.00 90.00 170.18
Sites, in units of the cell vectors:
Hf 0.1312 0.8688 0.5000
Hf 0.7998 0.2002 0.5000
Hf 0.4668 0.5332 0.5000
Hf 0.5354 0.4646 0.0000
Hf 0.1998 0.8002 0.0000
Hf 0.8668 0.1332 0.0000
Al 0.7501 0.2499 0.0000
Al 0.4168 0.5832 0.0000
Ge 0.5831 0.4169 0.5000
Ge 0.2499 0.7501 0.5000
Ge 0.9166 0.0834 0.5000
Ge 0.0833 0.9167 0.0000
Ge 0.0203 0.9797 0.5000
Ge 0.6887 0.3113 0.5000
Ge 0.3550 0.6450 0.5000
Ge 0.6466 0.3534 0.0000
Ge 0.3119 0.6881 0.0000
Ge 0.9781 0.0219 0.0000

Results
calculated volume: 324 Å³ per cell
SG: Amm2
formation enthalpy at 0 K: -9.643 kcal/mol of atoms
M_tot: 0.00 Bohr magnetons per cell

***

A relaxed HoAlGe crystal, computed with PBE-GGA.

abc: 5.5933 5.5933 5.7552
angles: 90.00 90.00 137.27
Sites, in units of the cell vectors:
Ho 0.6899 0.3101 0.2500
Ho 0.3101 0.6899 0.7500
Al 0.0000 0.0000 0.5000
Al 0.0000 0.0000 0.0000
Ge 0.3936 0.6064 0.2500
Ge 0.6064 0.3936 0.7500

Results
calculated volume: 122 Å³ per cell
SG: Cmcm
formation enthalpy at 0 K: -14.946 kcal/mol of atoms

***

no.,total energy (eV for the cell shown)
1,-15.458
2,-120.992
3,-29.791